The following is a DFT calculation (PBE) of a relaxed structure of P2S3.

a b c (Å): 7.5359 13.2037 12.3509
angles (deg): 90.00 101.22 90.00
Last column: nearest neighbours and their distance in Å.
Sites, in units of the cell vectors:
P  0.1459  0.0485  0.2528  3 S 2.11-2.18
P  0.1459  0.4515  0.7528  3 S 2.11-2.18
P  0.2236  0.0958  0.8434  2 S 2.12-2.13, 1 P 2.34
P  0.2236  0.4042  0.3434  2 S 2.12-2.13, 1 P 2.34
P  0.2534  0.5630  0.4301  2 S 2.12-2.13, 1 P 2.34
P  0.2534  0.9370  0.9301  2 S 2.12-2.13, 1 P 2.34
P  0.2798  0.5837  0.1663  4 S 1.93-2.12
P  0.2798  0.9163  0.6663  4 S 1.93-2.12
P  0.7202  0.0837  0.3337  4 S 1.93-2.12
P  0.7202  0.4163  0.8337  4 S 1.93-2.12
P  0.7466  0.0630  0.0699  2 S 2.12-2.13, 1 P 2.34
P  0.7466  0.4370  0.5699  2 S 2.12-2.13, 1 P 2.34
P  0.7764  0.5958  0.6566  2 S 2.12-2.13, 1 P 2.34
P  0.7764  0.9042  0.1566  2 S 2.12-2.13, 1 P 2.34
P  0.8541  0.5485  0.2472  3 S 2.11-2.18
P  0.8541  0.9515  0.7472  3 S 2.11-2.18
S  0.0016  0.1048  0.3770  2 P 2.10-2.18
S  0.0016  0.3952  0.8770  2 P 2.10-2.18
S  0.0188  0.1162  0.1023  2 P 2.12-2.13
S  0.0188  0.3838  0.6023  2 P 2.12-2.13
S  0.0593  0.6024  0.7188  2 P 2.11-2.12
S  0.0593  0.8976  0.2188  2 P 2.11-2.12
S  0.3415  0.0707  0.7027  2 P 2.12-2.13
S  0.3415  0.4293  0.2027  2 P 2.12-2.13
S  0.3835  0.6488  0.3228  2 P 2.12
S  0.3835  0.8512  0.8228  2 P 2.12
S  0.3858  0.6382  0.0488  1 P 1.93
S  0.3858  0.8618  0.5488  1 P 1.93
S  0.6142  0.1382  0.4512  1 P 1.93
S  0.6142  0.3618  0.9512  1 P 1.93
S  0.6165  0.1488  0.1772  2 P 2.12
S  0.6165  0.3512  0.6772  2 P 2.12
S  0.6585  0.5707  0.7973  2 P 2.12-2.13
S  0.6585  0.9293  0.2973  2 P 2.12-2.13
S  0.9407  0.1024  0.7812  2 P 2.11-2.12
S  0.9407  0.3976  0.2812  2 P 2.11-2.12
S  0.9812  0.6162  0.3977  2 P 2.12-2.13
S  0.9812  0.8838  0.8977  2 P 2.12-2.13
S  0.9984  0.6048  0.1230  2 P 2.10-2.18
S  0.9984  0.8952  0.6230  2 P 2.10-2.18

Summary:
formation energy = -0.465 eV per atom

***

The following is a DFT calculation (PBE) of a relaxed structure of SbPS4.

a b c (Å): 6.3875 13.8316 23.7876
angles (deg): 89.85 89.96 88.40
Last column: nearest neighbours and their distance in Å.
Sites, in units of the cell vectors:
Sb  0.1199  0.0032  0.1825  3 S 2.53-2.64
Sb  0.1396  0.7231  0.4101  3 S 2.53-2.64
Sb  0.1518  0.5230  0.1565  3 S 2.53-2.64
Sb  0.3489  0.5029  0.6829  3 S 2.53-2.64
Sb  0.3630  0.2234  0.9104  3 S 2.53-2.64
Sb  0.3763  0.0234  0.6569  3 S 2.53-2.64
Sb  0.6237  0.9766  0.3431  3 S 2.53-2.64
Sb  0.6370  0.7766  0.0896  3 S 2.53-2.64
Sb  0.6511  0.4971  0.3171  3 S 2.53-2.64
Sb  0.8482  0.4770  0.8435  3 S 2.53-2.64
Sb  0.8604  0.2769  0.5899  3 S 2.53-2.64
Sb  0.8801  0.9968  0.8175  3 S 2.53-2.64
P  0.1045  0.0605  0.3230  4 S 2.04-2.09
P  0.1279  0.7050  0.0575  4 S 2.04-2.09
P  0.1384  0.4849  0.3688  4 S 2.04-2.09
P  0.3577  0.5605  0.8235  4 S 2.04-2.09
P  0.3787  0.2054  0.5579  4 S 2.04-2.09
P  0.3941  0.9850  0.8692  4 S 2.04-2.09
P  0.6059  0.0150  0.1308  4 S 2.04-2.09
P  0.6213  0.7946  0.4421  4 S 2.04-2.09
P  0.6423  0.4395  0.1765  4 S 2.04-2.09
P  0.8616  0.5151  0.6312  4 S 2.04-2.09
P  0.8721  0.2950  0.9425  4 S 2.04-2.09
P  0.8955  0.9395  0.6770  4 S 2.04-2.09
S  0.0404  0.9222  0.3012  1 P 2.04
S  0.0531  0.7411  0.1381  1 P 2.04
S  0.0585  0.5870  0.3103  1 P 2.04
S  0.1279  0.5872  0.6071  1 P 2.07
S  0.1425  0.2929  0.9908  1 P 2.08
S  0.1527  0.5752  0.8894  1 P 2.05
S  0.1697  0.2967  0.5176  1 P 2.05
S  0.1705  0.8686  0.6518  1 P 2.08
S  0.1983  0.8790  0.8435  1 P 2.05
S  0.2163  0.6262  0.7536  1 P 2.09
S  0.2372  0.1267  0.2532  1 P 2.09
S  0.2483  0.0559  0.9366  1 P 2.09
S  0.2495  0.0685  0.5595  1 P 2.09
S  0.2733  0.5681  0.0591  1 P 2.09
S  0.2746  0.5556  0.4364  1 P 2.09
S  0.3075  0.0749  0.3889  1 P 2.05
S  0.3265  0.7961  0.0171  1 P 2.05
S  0.3312  0.0869  0.1064  1 P 2.07
S  0.3473  0.3791  0.3429  1 P 2.05
S  0.3512  0.7927  0.4906  1 P 2.08
S  0.3764  0.3682  0.1516  1 P 2.08
S  0.4391  0.4222  0.8017  1 P 2.04
S  0.4494  0.2412  0.6385  1 P 2.04
S  0.4621  0.0869  0.8105  1 P 2.04
S  0.5379  0.9131  0.1895  1 P 2.04
S  0.5506  0.7588  0.3615  1 P 2.04
S  0.5609  0.5778  0.1983  1 P 2.04
S  0.6236  0.6318  0.8484  1 P 2.08
S  0.6488  0.2073  0.5094  1 P 2.08
S  0.6527  0.6209  0.6571  1 P 2.05
S  0.6688  0.9131  0.8936  1 P 2.07
S  0.6735  0.2039  0.9829  1 P 2.05
S  0.6925  0.9251  0.6111  1 P 2.05
S  0.7254  0.4444  0.5636  1 P 2.09
S  0.7267  0.4319  0.9409  1 P 2.09
S  0.7505  0.9315  0.4405  1 P 2.09
S  0.7517  0.9441  0.0634  1 P 2.09
S  0.7628  0.8733  0.7468  1 P 2.09
S  0.7837  0.3738  0.2464  1 P 2.09
S  0.8017  0.1210  0.1565  1 P 2.05
S  0.8295  0.1314  0.3482  1 P 2.08
S  0.8303  0.7033  0.4824  1 P 2.05
S  0.8473  0.4248  0.1106  1 P 2.05
S  0.8575  0.7071  0.0092  1 P 2.08
S  0.8721  0.4128  0.3929  1 P 2.07
S  0.9415  0.4130  0.6897  1 P 2.04
S  0.9469  0.2589  0.8619  1 P 2.04
S  0.9596  0.0778  0.6988  1 P 2.04

Summary:
formation energy = -0.599 eV per atom

***

The following is a DFT calculation (PBE) of a relaxed structure of ScPS4.

a b c (Å): 6.2675 6.5732 7.5247
angles (deg): 87.25 88.88 80.91
Last column: nearest neighbours and their distance in Å.
Sites, in units of the cell vectors:
Sc  0.2044  0.1954  0.0570  7 S 2.56-2.81
Sc  0.7956  0.8046  0.9430  7 S 2.56-2.81
P  0.3116  0.7626  0.8318  4 S 2.02-2.07
P  0.6884  0.2374  0.1682  4 S 2.02-2.07
S  0.0832  0.0193  0.7706  1 P 2.07
S  0.1213  0.5357  0.8135  1 P 2.06
S  0.4048  0.7910  0.0898  1 P 2.06
S  0.4213  0.2690  0.3246  1 P 2.02
S  0.5787  0.7310  0.6754  1 P 2.02
S  0.5952  0.2090  0.9102  1 P 2.06
S  0.8787  0.4643  0.1865  1 P 2.06
S  0.9168  0.9807  0.2294  1 P 2.07

Summary:
formation energy = -1.265 eV per atom

***

The following is a DFT calculation (PBE) of a relaxed structure of ScTlP2S7.

a b c (Å): 6.6678 6.6678 6.5432
angles (deg): 95.95 95.95 98.01
Last column: nearest neighbours and their distance in Å.
Sites, in units of the cell vectors:
Sc  0.0000  0.0000  0.0000  6 S 2.58-2.64
Tl  0.4075  0.5925  0.5000  8 S 3.46-3.82
P  0.4502  0.1512  0.9113  4 S 2.02-2.16
P  0.8488  0.5498  0.0887  4 S 2.02-2.16
S  0.1932  0.1378  0.7100  1 P 2.04
S  0.3745  0.0284  0.1677  1 P 2.02
S  0.5227  0.4773  0.0000  2 P 2.16
S  0.6719  0.0463  0.7583  1 P 2.03
S  0.8622  0.8068  0.2900  1 P 2.04
S  0.9537  0.3281  0.2417  1 P 2.03
S  0.9716  0.6255  0.8323  1 P 2.02

Summary:
formation energy = -0.983 eV per atom

***

The following is a DFT calculation (PBE) of a relaxed structure of SnPS3.

a b c (Å): 6.6306 7.7314 11.4074
angles (deg): 90.00 124.06 90.00
Last column: nearest neighbours and their distance in Å.
Sites, in units of the cell vectors:
Sn  0.2385  0.1418  0.2766  3 S 2.79-2.89
Sn  0.2385  0.3582  0.7766  3 S 2.79-2.89
Sn  0.7615  0.6418  0.2234  3 S 2.79-2.89
Sn  0.7615  0.8582  0.7234  3 S 2.79-2.89
P  0.1277  0.6041  0.0712  3 S 2.03-2.05, 1 P 2.24
P  0.1277  0.8959  0.5712  3 S 2.03-2.05, 1 P 2.24
P  0.8723  0.1041  0.4288  3 S 2.03-2.05, 1 P 2.24
P  0.8723  0.3959  0.9288  3 S 2.03-2.05, 1 P 2.24
S  0.0885  0.2035  0.9364  1 P 2.03
S  0.0885  0.2965  0.4364  1 P 2.03
S  0.2943  0.6843  0.9740  1 P 2.05
S  0.2943  0.8157  0.4740  1 P 2.05
S  0.3627  0.0030  0.7644  1 P 2.03
S  0.3627  0.4970  0.2644  1 P 2.03
S  0.6373  0.5030  0.7356  1 P 2.03
S  0.6373  0.9970  0.2356  1 P 2.03
S  0.7057  0.1843  0.5260  1 P 2.05
S  0.7057  0.3157  0.0260  1 P 2.05
S  0.9115  0.7035  0.5636  1 P 2.03
S  0.9115  0.7965  0.0636  1 P 2.03

Summary:
formation energy = -0.644 eV per atom

***

The following is a DFT calculation (PBE) of a relaxed structure of SnPS3.

a b c (Å): 6.6558 7.6847 11.8457
angles (deg): 90.00 123.82 90.00
Last column: nearest neighbours and their distance in Å.
Sites, in units of the cell vectors:
Sn  0.0000  0.1003  0.0000  4 S 2.72-2.95
Sn  0.0000  0.8997  0.5000  4 S 2.72-2.95
Sn  0.5501  0.3704  0.4926  3 S 2.71-2.91
Sn  0.5501  0.6296  0.9926  3 S 2.71-2.91
P  0.6788  0.1497  0.2308  3 S 2.02-2.06, 1 P 2.26
P  0.6788  0.8503  0.7308  3 S 2.02-2.06, 1 P 2.26
P  0.9323  0.3651  0.3622  3 S 2.04, 1 P 2.26
P  0.9323  0.6349  0.8622  3 S 2.04, 1 P 2.26
S  0.1044  0.4533  0.2753  1 P 2.04
S  0.1044  0.5467  0.7753  1 P 2.04
S  0.1576  0.2517  0.5471  1 P 2.04
S  0.1576  0.7483  0.0471  1 P 2.04
S  0.4479  0.2401  0.0405  1 P 2.02
S  0.4479  0.7599  0.5405  1 P 2.02
S  0.5265  0.0733  0.3336  1 P 2.06
S  0.5265  0.9267  0.8336  1 P 2.06
S  0.7064  0.4484  0.8549  1 P 2.04
S  0.7064  0.5516  0.3549  1 P 2.04
S  0.8994  0.0466  0.7468  1 P 2.04
S  0.8994  0.9534  0.2468  1 P 2.04

Summary:
formation energy = -0.651 eV per atom
largest piezoelectric modulus = 1.49 C/m²

***

Which of these has the highest formation energy?
P2S3

***

formation energy of number 3 (ScPS4)?
-1.265 eV per atom

***

Among the records above, which one has the highest formation energy?
P2S3